# Mg2B12H24O35 PBE relaxed
# E (MP2020) (eV/cell): -2851.7
# Crystal system: trigonal
# M_tot (Bohr magnetons per cell): 36.0
# Energy relative to the elements (eV/atom): -1.8813
data_Mg2B12H24O35
_cell_length_a 11.7433
_cell_length_b 11.7433
_cell_length_c 35.7161
_cell_angle_alpha 90.00
_cell_angle_beta 90.00
_cell_angle_gamma 120.00
_symmetry_space_group_name_H-M 'R -3 c'
_symmetry_Int_Tables_number 167
_symmetry_space_group_name_Hall '-R 3 2"c'
loop_
_atom_site_label
_atom_site_fract_x
_atom_site_fract_y
_atom_site_fract_z
_atom_site_occupancy
Mg1 0.0000 0.0000 0.1433 1
B1 0.0154 0.1353 0.0664 1
B2 0.0218 0.2371 0.9576 1
H1 0.0163 0.1656 0.7975 1
H2 0.0248 0.2382 0.8358 1
H3 0.0482 0.4559 0.4097 1
H4 0.0861 0.5088 0.7815 1
O1 0.0000 0.0000 0.0590 1
O2 0.0000 0.1976 0.7500 1
O3 0.0114 0.3164 0.1959 1
O4 0.0125 0.1550 0.8252 1
O5 0.0310 0.1560 0.1070 1
O6 0.0963 0.5328 0.1135 1
O7 0.0996 0.5362 0.2123 1